No. 1
The following is a PBE calculation of an optimized crystal structure of Gd2MgS4, from the Materials Project database.

Cell and atoms, written as POSCAR:
```
Gd2MgS4
1.0
0.000 5.636 5.636
5.636 0.000 5.636
5.636 5.636 0.000
S Gd Mg
8 4 2
direct
0.371 0.888 0.371 S
0.879 0.879 0.362 S
0.371 0.371 0.371 S
0.371 0.371 0.888 S
0.888 0.371 0.371 S
0.879 0.879 0.879 S
0.879 0.362 0.879 S
0.362 0.879 0.879 S
0.625 0.125 0.125 Gd
0.125 0.625 0.125 Gd
0.125 0.125 0.625 Gd
0.125 0.125 0.125 Gd
0.500 0.500 0.500 Mg
0.750 0.750 0.750 Mg
```

Values from the calculation:
DFT formation energy   -2.153 eV per atom

***

No. 2
The following is a PBE calculation of an optimized crystal structure of Gd2MgS4, from the Materials Project database.

Cell and atoms, written as POSCAR:
```
Gd2MgS4
1.0
12.818 0.000 0.000
0.000 7.709 0.000
0.000 0.000 12.932
Gd S Mg
16 32 8
direct
0.865 0.368 0.493 Gd
0.391 0.886 0.185 Gd
0.374 0.385 0.826 Gd
0.609 0.114 0.685 Gd
0.365 0.632 0.493 Gd
0.365 0.131 0.493 Gd
0.635 0.368 0.993 Gd
0.126 0.385 0.326 Gd
0.865 0.869 0.493 Gd
0.635 0.869 0.993 Gd
0.109 0.886 0.685 Gd
0.135 0.131 0.993 Gd
0.135 0.632 0.993 Gd
0.891 0.114 0.185 Gd
0.874 0.615 0.826 Gd
0.626 0.615 0.326 Gd
0.790 0.118 0.999 S
0.524 0.625 0.869 S
0.289 0.382 0.021 S
0.971 0.618 0.631 S
0.710 0.118 0.499 S
0.735 0.362 0.776 S
0.454 0.876 0.639 S
0.011 0.880 0.878 S
0.511 0.120 0.878 S
0.989 0.120 0.378 S
0.476 0.375 0.369 S
0.489 0.880 0.378 S
0.046 0.876 0.139 S
0.765 0.362 0.276 S
0.265 0.638 0.276 S
0.976 0.625 0.369 S
0.235 0.638 0.776 S
0.210 0.882 0.499 S
0.529 0.618 0.131 S
0.211 0.382 0.521 S
0.024 0.375 0.869 S
0.268 0.136 0.273 S
0.954 0.124 0.639 S
0.029 0.382 0.131 S
0.789 0.618 0.021 S
0.768 0.864 0.273 S
0.290 0.882 0.999 S
0.711 0.618 0.521 S
0.471 0.382 0.631 S
0.232 0.136 0.773 S
0.732 0.864 0.773 S
0.546 0.124 0.139 S
0.626 0.120 0.321 Mg
0.126 0.880 0.321 Mg
0.612 0.616 0.692 Mg
0.388 0.384 0.192 Mg
0.112 0.384 0.692 Mg
0.874 0.120 0.821 Mg
0.374 0.880 0.821 Mg
0.888 0.616 0.192 Mg
```

Values from the calculation:
DFT formation energy   -2.152 eV per atom

***

No. 3
The following is a PBE calculation of an optimized crystal structure of Gd2MgS4, from the Materials Project database.

Cell and atoms, written as POSCAR:
```
Gd2MgS4
1.0
-4.112 4.112 4.302
4.112 -4.112 4.302
4.112 4.112 -4.302
Mg S Gd
2 8 4
direct
0.000 0.000 0.000 Mg
0.750 0.250 0.500 Mg
0.128 0.756 0.763 S
0.757 0.494 0.872 S
0.622 0.886 0.128 S
0.993 0.364 0.237 S
0.244 0.007 0.372 S
0.636 0.872 0.628 S
0.506 0.378 0.263 S
0.114 0.243 0.737 S
0.375 0.493 0.618 Gd
0.243 0.625 0.118 Gd
0.507 0.125 0.882 Gd
0.875 0.757 0.382 Gd
```

Values from the calculation:
DFT formation energy   -2.106 eV per atom

***

No. 4
The following is a PBE calculation of an optimized crystal structure of Gd2MgS4, from the Materials Project database.

Cell and atoms, written as POSCAR:
```
Gd2MgS4
1.0
-5.601 11.077 -2.818
-3.434 -1.799 -0.247
-2.150 2.284 13.254
S Gd Mg
16 8 4
direct
0.473 0.750 0.385 S
0.772 0.750 0.753 S
0.973 0.750 0.115 S
0.228 0.250 0.247 S
0.735 0.250 0.983 S
0.272 0.750 0.747 S
0.494 0.250 0.115 S
0.994 0.250 0.385 S
0.027 0.250 0.885 S
0.527 0.250 0.615 S
0.506 0.750 0.885 S
0.728 0.250 0.253 S
0.265 0.750 0.017 S
0.235 0.250 0.517 S
0.765 0.750 0.483 S
0.006 0.750 0.615 S
0.619 0.250 0.425 Gd
0.119 0.250 0.075 Gd
0.135 0.250 0.706 Gd
0.865 0.750 0.294 Gd
0.381 0.750 0.575 Gd
0.881 0.750 0.925 Gd
0.635 0.250 0.794 Gd
0.365 0.750 0.206 Gd
0.110 0.750 0.456 Mg
0.390 0.250 0.956 Mg
0.610 0.750 0.044 Mg
0.890 0.250 0.544 Mg
```

Values from the calculation:
DFT formation energy   -2.101 eV per atom

***

No. 5
The following is a PBE calculation of an optimized crystal structure of Gd2MgTl, from the Materials Project database.

Cell and atoms, written as POSCAR:
```
Gd2MgTl
1.0
0.000 3.818 3.818
3.818 0.000 3.818
3.818 3.818 0.000
Tl Gd Mg
1 2 1
direct
0.500 0.500 0.500 Tl
0.250 0.250 0.250 Gd
0.750 0.750 0.750 Gd
0.000 0.000 0.000 Mg
```

Values from the calculation:
DFT formation energy   -0.275 eV per atom

***

No. 6
The following is a PBE calculation of an optimized crystal structure of GdMgTl, from the Materials Project database.

Cell and atoms, written as POSCAR:
```
GdMgTl
1.0
-2.218 6.889 2.442
-5.135 -5.592 -0.835
0.739 -1.347 4.470
Tl Gd Mg
3 3 3
direct
0.333 0.667 0.500 Tl
0.667 0.333 0.500 Tl
0.000 0.000 0.000 Tl
0.571 0.571 0.000 Gd
0.429 0.000 0.000 Gd
0.000 0.429 0.000 Gd
0.243 0.243 0.500 Mg
0.757 0.000 0.500 Mg
0.000 0.757 0.500 Mg
```

Values from the calculation:
DFT formation energy   -0.341 eV per atom

***

No. 7
The following is a PBE calculation of an optimized crystal structure of GdMn2, from the Materials Project database.

Cell and atoms, written as POSCAR:
```
GdMn2
1.0
0.000 3.638 3.638
3.638 0.000 3.638
3.638 3.638 0.000
Mn Gd
4 2
direct
0.625 0.625 0.125 Mn
0.125 0.625 0.625 Mn
0.625 0.625 0.625 Mn
0.625 0.125 0.625 Mn
0.250 0.250 0.250 Gd
0.000 0.000 0.000 Gd
```

Values from the calculation:
DFT formation energy   0.218 eV per atom

***

No. 8
The following is a PBE calculation of an optimized crystal structure of GdMn12, from the Materials Project database.

Cell and atoms, written as POSCAR:
```
GdMn12
1.0
-4.158 4.158 2.313
4.158 -4.158 2.313
4.158 4.158 -2.313
Mn Gd
12 1
direct
0.500 0.273 0.773 Mn
0.727 0.500 0.227 Mn
0.500 0.727 0.227 Mn
0.000 0.361 0.361 Mn
0.000 0.500 0.000 Mn
0.273 0.500 0.773 Mn
0.000 0.000 0.500 Mn
0.000 0.639 0.639 Mn
0.361 0.000 0.361 Mn
0.639 0.000 0.639 Mn
0.500 0.000 0.000 Mn
0.500 0.500 0.500 Mn
0.000 0.000 0.000 Gd
```

Values from the calculation:
DFT formation energy   0.021 eV per atom